Computed, not measured: a relaxed Na9Ta5ZnSi9O36 crystal at the PBE-GGA level of DFT.

abc: 9.0734 27.1849 22.4160
angles: 90.05 89.97 120.08
With the nearest neighbours (Å) after each atom.
Sites, in units of the cell vectors:
1 Na 0.0015 0.0019 0.4959  6 O 2.42-2.67
2 Na 0.9867 0.3279 0.4988  6 O 2.44-2.71
3 Na 0.0059 0.6688 0.5060  4 O 2.36-2.62
4 Na 0.9835 0.9956 0.9988  6 O 2.38-2.65
5 Na 0.9961 0.3274 0.9992  6 O 2.45-2.71
6 Na 0.0120 0.6687 0.0091  3 O 2.29-2.38
7 Na 0.6661 0.1103 0.8295  4 O 2.36-2.63
8 Na 0.6690 0.4420 0.8385  3 O 2.32-2.46
9 Na 0.6665 0.7889 0.8330  3 O 2.30-2.48
10 Na 0.6635 0.1095 0.3280  3 O 2.35-2.40
11 Na 0.6599 0.4431 0.3387  3 O 2.33-2.44
12 Na 0.6858 0.7835 0.3338  6 O 2.36-2.62
13 Na 0.3446 0.2264 0.1678  6 O 2.44-2.67
14 Na 0.3411 0.5517 0.1691  6 O 2.45-2.63
15 Na 0.3348 0.8895 0.1669  6 O 2.46-2.63
16 Na 0.3359 0.2270 0.6679  6 O 2.44-2.68
17 Na 0.3155 0.5514 0.6672  6 O 2.46-2.60
18 Na 0.3467 0.8880 0.6687  5 O 2.40-2.53
19 Na 0.6224 0.0063 0.2422  4 O 2.32-2.47
20 Na 0.6480 0.6649 0.2460  4 O 2.43-2.62
21 Na 0.3898 0.1238 0.2414  5 O 2.30-2.56
22 Na 0.3513 0.7856 0.2444  6 O 2.45-2.71
23 Na 0.9790 0.2009 0.2420  4 O 2.31-2.57
24 Na 0.0077 0.5503 0.2438  6 O 2.41-2.69
25 Na 0.6252 0.2016 0.7420  4 O 2.31-2.56
26 Na 0.6408 0.5496 0.7412  6 O 2.40-2.66
27 Na 0.9813 0.1245 0.7431  5 O 2.30-2.54
28 Na 0.0060 0.7868 0.7444  5 O 2.43-2.64
29 Na 0.3973 0.0066 0.7430  4 O 2.32-2.47
30 Na 0.3463 0.6643 0.7431  5 O 2.44-2.60
31 Na 0.3208 0.1129 0.5875  6 O 2.49-2.73
32 Na 0.3193 0.4421 0.5747  5 O 2.42-2.66
33 Na 0.2688 0.7701 0.5913  4 O 2.29-2.55
34 Na 0.0176 0.2263 0.5904  6 O 2.54-2.63
35 Na 0.0324 0.5746 0.5892  4 O 2.31-2.57
36 Na 0.0284 0.8997 0.5792  5 O 2.45-2.57
37 Na 0.6735 0.3287 0.5741  6 O 2.51-2.61
38 Na 0.6849 0.6532 0.5948  5 O 2.32-2.59
39 Na 0.6602 0.9943 0.5878  6 O 2.46-2.71
40 Na 0.3119 0.3281 0.0750  6 O 2.52-2.59
41 Na 0.2795 0.6543 0.0965  4 O 2.28-2.51
42 Na 0.3172 0.9931 0.0886  6 O 2.44-2.71
43 Na 0.6608 0.2255 0.0910  7 O 2.54-2.84
44 Na 0.6924 0.5753 0.0915  4 O 2.32-2.57
45 Na 0.0201 0.1127 0.0900  6 O 2.43-2.71
46 Na 0.0057 0.4417 0.0767  5 O 2.42-2.66
47 Na 0.0445 0.7712 0.0922  4 O 2.29-2.49
48 Na 0.9358 0.5481 0.9285  3 O 2.29-2.37
49 Na 0.7045 0.3512 0.9246  4 O 2.28-2.54
50 Na 0.7039 0.6801 0.9195  5 O 2.41-2.62
51 Na 0.3520 0.4307 0.9249  5 O 2.32-2.55
52 Na 0.9425 0.4317 0.4249  5 O 2.32-2.56
53 Na 0.3505 0.3520 0.4242  4 O 2.29-2.55
54 Na 0.7110 0.5491 0.4272  5 O 2.32-2.57
55 Ta 0.9970 0.9978 0.3578  6 O 1.94-2.04
56 Ta 0.9995 0.3340 0.3560  6 O 1.90-2.06
57 Ta 0.0043 0.6679 0.3543  6 O 1.96-2.05
58 Ta 0.9985 0.9985 0.8585  6 O 1.95-2.02
59 Ta 0.0020 0.3336 0.8562  6 O 1.90-2.06
60 Ta 0.0028 0.6682 0.8535  6 O 1.94-2.07
61 Ta 0.9971 0.9999 0.6462  6 O 1.93-2.06
62 Ta 0.0019 0.3334 0.6481  6 O 1.94-2.06
63 Ta 0.9967 0.9982 0.1451  6 O 1.92-2.06
64 Ta 0.9980 0.3333 0.1483  6 O 1.94-2.07
65 Ta 0.6640 0.4428 0.6869  6 O 1.95-2.04
66 Ta 0.6669 0.7791 0.6886  6 O 1.94-2.05
67 Ta 0.6644 0.4430 0.1872  6 O 1.96-2.03
68 Ta 0.6707 0.7798 0.1884  6 O 1.93-2.06
69 Ta 0.6673 0.1108 0.9786  6 O 1.97-2.02
70 Ta 0.6699 0.7822 0.9762  6 O 1.91-2.09
71 Ta 0.6653 0.1112 0.4780  6 O 1.98-2.00
72 Ta 0.6698 0.7792 0.4744  6 O 1.95-2.02
73 Ta 0.3294 0.2216 0.0185  6 O 1.92-2.08
74 Ta 0.3322 0.5563 0.0226  6 O 1.97-2.04
75 Ta 0.3384 0.8884 0.0215  6 O 1.91-2.11
76 Ta 0.3363 0.2220 0.5183  6 O 1.92-2.08
77 Ta 0.3357 0.5566 0.5215  6 O 1.94-2.06
78 Ta 0.3289 0.8880 0.5197  6 O 1.93-2.09
79 Ta 0.3330 0.2206 0.3109  6 O 1.91-2.06
80 Ta 0.3355 0.5555 0.3127  6 O 1.91-2.07
81 Ta 0.3306 0.8906 0.3121  6 O 1.91-2.11
82 Ta 0.3291 0.2208 0.8110  6 O 1.91-2.07
83 Ta 0.3297 0.5546 0.8121  6 O 1.90-2.06
84 Ta 0.3411 0.8910 0.8124  6 O 1.91-2.12
85 Zn 0.9982 0.6654 0.6495  6 O 2.05-2.29
86 Zn 0.0020 0.6660 0.1510  4 O 2.03-2.17
87 Zn 0.6693 0.1115 0.6852  6 O 2.05-2.25
88 Zn 0.6640 0.1110 0.1846  6 O 2.04-2.27
89 Zn 0.6597 0.4407 0.9828  4 O 1.99-2.22
90 Zn 0.6653 0.4418 0.4820  4 O 1.99-2.22
91 Si 0.2840 0.9981 0.2510  4 O 1.61-1.66
92 Si 0.2909 0.3336 0.2515  4 O 1.63-1.65
93 Si 0.2945 0.6667 0.2484  4 O 1.60-1.66
94 Si 0.7073 0.2365 0.2515  4 O 1.60-1.66
95 Si 0.7101 0.5697 0.2475  4 O 1.61-1.66
96 Si 0.7093 0.9037 0.2522  4 O 1.62-1.65
97 Si 0.0010 0.0950 0.2508  4 O 1.60-1.67
98 Si 0.9985 0.4310 0.2524  4 O 1.64-1.65
99 Si 0.0015 0.7636 0.2471  4 O 1.61-1.66
100 Si 0.2864 0.0957 0.7516  4 O 1.60-1.68
101 Si 0.2940 0.4306 0.7525  4 O 1.63-1.66
102 Si 0.2902 0.7646 0.7462  4 O 1.60-1.67
103 Si 0.0025 0.2366 0.7512  4 O 1.60-1.66
104 Si 0.9977 0.5694 0.7473  4 O 1.60-1.67
105 Si 0.0026 0.9039 0.7508  4 O 1.62-1.66
106 Si 0.7101 0.9986 0.7523  4 O 1.60-1.68
107 Si 0.7102 0.3338 0.7516  4 O 1.63-1.65
108 Si 0.7057 0.6667 0.7486  4 O 1.60-1.66
109 Si 0.9576 0.1118 0.5853  4 O 1.61-1.67
110 Si 0.9563 0.4444 0.5809  4 O 1.61-1.67
111 Si 0.9565 0.7789 0.5819  4 O 1.60-1.67
112 Si 0.3780 0.0149 0.5863  4 O 1.60-1.67
113 Si 0.3713 0.3458 0.5801  4 O 1.60-1.66
114 Si 0.3833 0.6822 0.5822  4 O 1.60-1.67
115 Si 0.6662 0.2080 0.5861  4 O 1.60-1.66
116 Si 0.6690 0.5407 0.5802  4 O 1.60-1.69
117 Si 0.6611 0.8736 0.5817  4 O 1.62-1.65
118 Si 0.9577 0.2079 0.0859  4 O 1.60-1.67
119 Si 0.9520 0.5405 0.0803  4 O 1.60-1.70
120 Si 0.9600 0.8746 0.0819  4 O 1.64-1.65
121 Si 0.6668 0.0147 0.0863  4 O 1.61-1.66
122 Si 0.6660 0.3457 0.0804  4 O 1.60-1.66
123 Si 0.6643 0.6826 0.0808  4 O 1.60-1.67
124 Si 0.3768 0.1116 0.0853  4 O 1.61-1.67
125 Si 0.3772 0.4442 0.0808  4 O 1.61-1.67
126 Si 0.3832 0.7806 0.0834  4 O 1.60-1.66
127 Si 0.6209 0.2207 0.9155  4 O 1.62-1.65
128 Si 0.6253 0.5571 0.9149  4 O 1.60-1.67
129 Si 0.6252 0.8894 0.9164  4 O 1.62-1.64
130 Si 0.0374 0.1239 0.9144  4 O 1.63-1.66
131 Si 0.0455 0.4574 0.9188  4 O 1.60-1.66
132 Si 0.0457 0.7940 0.9152  4 O 1.64-1.65
133 Si 0.3305 0.3184 0.9155  4 O 1.60-1.65
134 Si 0.3293 0.6528 0.9163  4 O 1.63-1.66
135 Si 0.3327 0.9854 0.9184  4 O 1.63-1.66
136 Si 0.6253 0.3186 0.4151  4 O 1.60-1.66
137 Si 0.6280 0.6529 0.4159  4 O 1.63-1.66
138 Si 0.6248 0.9861 0.4172  4 O 1.63-1.67
139 Si 0.3338 0.1239 0.4144  4 O 1.62-1.66
140 Si 0.3278 0.4578 0.4186  4 O 1.60-1.67
141 Si 0.3346 0.7930 0.4145  4 O 1.63-1.66
142 Si 0.0421 0.2212 0.4155  4 O 1.62-1.66
143 Si 0.0482 0.5585 0.4152  4 O 1.61-1.67
144 Si 0.0406 0.8893 0.4172  4 O 1.62-1.66
145 O 0.1701 0.9968 0.3081  1 Si 1.63
146 O 0.1985 0.3419 0.3108  1 Si 1.65
147 O 0.1939 0.6754 0.3055  1 Si 1.65
148 O 0.8319 0.2766 0.3062  1 Si 1.65
149 O 0.8354 0.6010 0.3058  1 Si 1.66
150 O 0.8149 0.9340 0.3123  1 Si 1.62
151 O 0.9939 0.0550 0.3066  1 Si 1.64
152 O 0.9903 0.3960 0.3132  1 Si 1.64
153 O 0.9672 0.7197 0.3034  1 Si 1.66
154 O 0.1731 0.0559 0.8071  1 Si 1.63
155 O 0.1981 0.3961 0.8136  1 Si 1.64
156 O 0.1882 0.7209 0.8030  1 Si 1.67
157 O 0.9979 0.2766 0.8061  1 Si 1.66
158 O 0.9680 0.6020 0.8055  1 Si 1.67
159 O 0.9888 0.9355 0.8100  1 Si 1.62
160 O 0.8214 0.9975 0.8087  1 Si 1.63
161 O 0.8278 0.3420 0.8109  1 Si 1.65
162 O 0.8247 0.6748 0.8084  1 Si 1.66
163 O 0.8076 0.3255 0.6933  1 Si 1.65
164 O 0.7803 0.6520 0.6911  1 Si 1.60
165 O 0.8054 0.9935 0.6904  1 Si 1.68
166 O 0.1714 0.0636 0.6904  1 Si 1.68
167 O 0.1741 0.3954 0.6952  1 Si 1.64
168 O 0.1783 0.7411 0.6869  1 Si 1.60
169 O 0.0116 0.2720 0.6900  1 Si 1.66
170 O 0.0567 0.6092 0.6892  1 Si 1.60
171 O 0.0190 0.9419 0.6907  1 Si 1.66
172 O 0.8050 0.2720 0.1902  1 Si 1.66
173 O 0.7731 0.6096 0.1891  1 Si 1.61
174 O 0.8131 0.9444 0.1946  1 Si 1.65
175 O 0.0244 0.0647 0.1896  1 Si 1.67
176 O 0.0127 0.3956 0.1949  1 Si 1.65
177 O 0.0472 0.7412 0.1874  1 Si 1.61
178 O 0.1690 0.3255 0.1932  1 Si 1.65
179 O 0.1777 0.6512 0.1900  1 Si 1.60
180 O 0.1745 0.9932 0.1895  1 Si 1.66
181 O 0.8966 0.1290 0.6452  1 Si 1.61
182 O 0.8551 0.4521 0.6382  1 Si 1.65
183 O 0.8610 0.7863 0.6423  1 Si 1.67
184 O 0.4905 0.0369 0.6459  1 Si 1.60
185 O 0.4989 0.3801 0.6366  1 Si 1.65
186 O 0.4976 0.7124 0.6438  1 Si 1.67
187 O 0.6191 0.1703 0.6456  1 Si 1.60
188 O 0.6364 0.4995 0.6403  1 Si 1.68
189 O 0.6408 0.8332 0.6398  1 Si 1.65
190 O 0.8916 0.1705 0.1456  1 Si 1.60
191 O 0.8622 0.4992 0.1400  1 Si 1.67
192 O 0.8551 0.8340 0.1390  1 Si 1.65
193 O 0.6200 0.0369 0.1458  1 Si 1.61
194 O 0.6409 0.3801 0.1364  1 Si 1.65
195 O 0.6414 0.7141 0.1408  1 Si 1.66
196 O 0.4931 0.1303 0.1446  1 Si 1.61
197 O 0.5015 0.4523 0.1379  1 Si 1.65
198 O 0.4926 0.7851 0.1443  1 Si 1.66
199 O 0.4756 0.1020 0.0290  1 Si 1.64
200 O 0.4335 0.4242 0.0218  1 Si 1.61
201 O 0.5001 0.7822 0.0262  1 Si 1.65
202 O 0.8304 0.1768 0.0291  1 Si 1.64
203 O 0.8439 0.5103 0.0215  1 Si 1.60
204 O 0.8535 0.8426 0.0215  1 Si 1.64
205 O 0.7010 0.0586 0.0302  1 Si 1.65
206 O 0.7109 0.3817 0.0199  1 Si 1.60
207 O 0.6702 0.7201 0.0221  1 Si 1.65
208 O 0.4733 0.0585 0.5302  1 Si 1.64
209 O 0.4365 0.3819 0.5198  1 Si 1.60
210 O 0.4963 0.7233 0.5271  1 Si 1.64
211 O 0.7000 0.1765 0.5295  1 Si 1.64
212 O 0.6872 0.5106 0.5215  1 Si 1.60
213 O 0.6872 0.8442 0.5229  1 Si 1.62
214 O 0.8283 0.1010 0.5294  1 Si 1.64
215 O 0.8393 0.4241 0.5222  1 Si 1.61
216 O 0.8496 0.7820 0.5249  1 Si 1.63
217 O 0.5264 0.2308 0.9735  1 Si 1.65
218 O 0.5238 0.5649 0.9731  1 Si 1.67
219 O 0.5183 0.8914 0.9745  1 Si 1.64
220 O 0.1600 0.1605 0.9714  1 Si 1.66
221 O 0.1585 0.4890 0.9796  1 Si 1.66
222 O 0.1568 0.8242 0.9756  1 Si 1.64
223 O 0.3212 0.2837 0.9773  1 Si 1.65
224 O 0.3048 0.6116 0.9745  1 Si 1.66
225 O 0.3101 0.9453 0.9767  1 Si 1.65
226 O 0.5298 0.2838 0.4770  1 Si 1.66
227 O 0.5264 0.6114 0.4737  1 Si 1.66
228 O 0.5228 0.9462 0.4762  1 Si 1.67
229 O 0.3216 0.1603 0.4719  1 Si 1.66
230 O 0.3091 0.4889 0.4799  1 Si 1.67
231 O 0.3129 0.8246 0.4748  1 Si 1.66
232 O 0.1654 0.2305 0.4739  1 Si 1.66
233 O 0.1651 0.5629 0.4749  1 Si 1.67
234 O 0.1488 0.8920 0.4779  1 Si 1.66
235 O 0.1355 0.2134 0.3562  1 Si 1.65
236 O 0.1536 0.5580 0.3555  1 Si 1.65
237 O 0.1524 0.8864 0.3610  1 Si 1.64
238 O 0.5003 0.2792 0.3604  1 Si 1.65
239 O 0.5165 0.6209 0.3562  1 Si 1.64
240 O 0.5109 0.9547 0.3573  1 Si 1.65
241 O 0.3481 0.1606 0.3540  1 Si 1.65
242 O 0.3240 0.4974 0.3637  1 Si 1.65
243 O 0.3596 0.8329 0.3560  1 Si 1.64
244 O 0.1333 0.1602 0.8536  1 Si 1.65
245 O 0.1684 0.4971 0.8636  1 Si 1.65
246 O 0.1398 0.8325 0.8560  1 Si 1.64
247 O 0.3368 0.2791 0.8605  1 Si 1.65
248 O 0.3502 0.6206 0.8577  1 Si 1.64
249 O 0.3535 0.9542 0.8579  1 Si 1.66
250 O 0.5047 0.2134 0.8560  1 Si 1.65
251 O 0.5223 0.5580 0.8546  1 Si 1.65
252 O 0.5092 0.8855 0.8584  1 Si 1.64
253 O 0.0347 0.2805 0.4108  1 Si 1.65
254 O 0.0268 0.6150 0.4125  1 Si 1.65
255 O 0.0228 0.9458 0.4162  1 Si 1.62
256 O 0.8143 0.3240 0.4133  1 Si 1.65
257 O 0.8111 0.6549 0.4112  1 Si 1.64
258 O 0.8134 0.9930 0.4138  1 Si 1.63
259 O 0.1651 0.0612 0.4127  1 Si 1.62
260 O 0.1515 0.3950 0.4175  1 Si 1.65
261 O 0.1609 0.7313 0.4074  1 Si 1.63
262 O 0.0180 0.0610 0.9128  1 Si 1.63
263 O 0.0339 0.3948 0.9176  1 Si 1.65
264 O 0.0260 0.7304 0.9080  1 Si 1.65
265 O 0.1580 0.3240 0.9133  1 Si 1.65
266 O 0.1532 0.6552 0.9106  1 Si 1.64
267 O 0.1648 0.9925 0.9129  1 Si 1.63
268 O 0.8064 0.2802 0.9106  1 Si 1.65
269 O 0.8146 0.6157 0.9128  1 Si 1.66
270 O 0.8137 0.9451 0.9152  1 Si 1.62
271 O 0.9731 0.0533 0.5883  1 Si 1.67
272 O 0.9961 0.3915 0.5935  1 Si 1.67
273 O 0.9684 0.7223 0.5813  1 Si 1.60
274 O 0.1839 0.0075 0.5884  1 Si 1.67
275 O 0.1786 0.3364 0.5918  1 Si 1.66
276 O 0.1980 0.6754 0.5817  1 Si 1.60
277 O 0.8359 0.2730 0.5886  1 Si 1.66
278 O 0.8323 0.6036 0.5861  1 Si 1.61
279 O 0.8327 0.9369 0.5889  1 Si 1.65
280 O 0.9837 0.2731 0.0887  1 Si 1.67
281 O 0.9801 0.6037 0.0859  1 Si 1.61
282 O 0.9827 0.9381 0.0876  1 Si 1.64
283 O 0.8413 0.0097 0.0889  1 Si 1.66
284 O 0.8303 0.3362 0.0920  1 Si 1.66
285 O 0.8295 0.6759 0.0796  1 Si 1.60
286 O 0.1874 0.0535 0.0885  1 Si 1.65
287 O 0.1786 0.3917 0.0933  1 Si 1.67
288 O 0.2026 0.7231 0.0812  1 Si 1.60
289 O 0.6992 0.0557 0.7523  1 Si 1.60
290 O 0.6881 0.3891 0.7421  1 Si 1.63
291 O 0.6973 0.7261 0.7457  1 Si 1.66
292 O 0.4704 0.1011 0.7514  1 Si 1.60
293 O 0.4815 0.4367 0.7445  1 Si 1.63
294 O 0.4775 0.7678 0.7450  1 Si 1.66
295 O 0.8331 0.1756 0.7546  1 Si 1.60
296 O 0.8204 0.5080 0.7415  1 Si 1.64
297 O 0.8343 0.8400 0.7446  1 Si 1.65
298 O 0.6932 0.1755 0.2546  1 Si 1.60
299 O 0.7026 0.5081 0.2406  1 Si 1.65
300 O 0.6852 0.8400 0.2447  1 Si 1.64
301 O 0.8337 0.1008 0.2514  1 Si 1.60
302 O 0.8284 0.4366 0.2442  1 Si 1.64
303 O 0.8256 0.7678 0.2437  1 Si 1.66
304 O 0.4668 0.0553 0.2517  1 Si 1.61
305 O 0.4788 0.3890 0.2419  1 Si 1.63
306 O 0.4827 0.7255 0.2459  1 Si 1.66
307 O 0.6426 0.1656 0.9247  1 Si 1.62
308 O 0.6366 0.5003 0.9154  1 Si 1.60
309 O 0.6433 0.8324 0.9178  1 Si 1.64
310 O 0.8533 0.1200 0.9233  1 Si 1.63
311 O 0.8635 0.4528 0.9138  1 Si 1.60
312 O 0.8495 0.7826 0.9190  1 Si 1.65
313 O 0.5049 0.0477 0.9260  1 Si 1.64
314 O 0.4998 0.3796 0.9127  1 Si 1.60
315 O 0.5001 0.7152 0.9217  1 Si 1.63
316 O 0.6383 0.0481 0.4259  1 Si 1.64
317 O 0.6402 0.3799 0.4126  1 Si 1.60
318 O 0.6503 0.7159 0.4228  1 Si 1.63
319 O 0.5066 0.1202 0.4238  1 Si 1.64
320 O 0.4959 0.4531 0.4139  1 Si 1.60
321 O 0.5010 0.7852 0.4216  1 Si 1.63
322 O 0.8550 0.1659 0.4254  1 Si 1.62
323 O 0.8664 0.5010 0.4152  1 Si 1.61
324 O 0.8528 0.8324 0.4175  1 Si 1.63
325 O 0.3411 0.1654 0.0738  1 Si 1.67
326 O 0.3726 0.5044 0.0777  1 Si 1.66
327 O 0.3567 0.8364 0.0817  1 Si 1.65
328 O 0.1521 0.2181 0.0749  1 Si 1.66
329 O 0.1449 0.5444 0.0792  1 Si 1.70
330 O 0.1491 0.8804 0.0817  1 Si 1.64
331 O 0.4943 0.2819 0.0797  1 Si 1.65
332 O 0.4849 0.6196 0.0794  1 Si 1.67
333 O 0.4987 0.9517 0.0739  1 Si 1.65
334 O 0.3515 0.2819 0.5797  1 Si 1.65
335 O 0.3754 0.6198 0.5796  1 Si 1.66
336 O 0.3494 0.9504 0.5751  1 Si 1.66
337 O 0.5026 0.2182 0.5748  1 Si 1.66
338 O 0.4888 0.5449 0.5796  1 Si 1.69
339 O 0.4917 0.8807 0.5806  1 Si 1.64
340 O 0.1546 0.1652 0.5739  1 Si 1.66
341 O 0.1417 0.5043 0.5788  1 Si 1.65
342 O 0.1494 0.8369 0.5821  1 Si 1.67
343 O 0.2961 0.2740 0.2555  1 Si 1.65
344 O 0.3331 0.6135 0.2551  1 Si 1.66
345 O 0.3113 0.9422 0.2523  1 Si 1.66
346 O 0.5181 0.2312 0.2530  1 Si 1.65
347 O 0.5156 0.5583 0.2596  1 Si 1.65
348 O 0.5188 0.8975 0.2519  1 Si 1.65
349 O 0.1779 0.1583 0.2518  1 Si 1.66
350 O 0.1619 0.4964 0.2532  1 Si 1.65
351 O 0.1685 0.8269 0.2594  1 Si 1.65
352 O 0.2966 0.1583 0.7510  1 Si 1.66
353 O 0.3263 0.4962 0.7530  1 Si 1.66
354 O 0.3115 0.8274 0.7580  1 Si 1.64
355 O 0.1755 0.2312 0.7530  1 Si 1.65
356 O 0.1581 0.5585 0.7611  1 Si 1.65
357 O 0.1740 0.8975 0.7513  1 Si 1.65
358 O 0.5261 0.2741 0.7554  1 Si 1.65
359 O 0.5063 0.6137 0.7547  1 Si 1.66
360 O 0.5156 0.9426 0.7523  1 Si 1.65

ΔH_f (0 K)	-180.03	eV/f.u.